Record 1
! CoCl2 | the Materials Project | PBE | relaxed; values from VASP
&SYSTEM
  ibrav = 0, nat = 3, ntyp = 2
/
ATOMIC_SPECIES
Cl 35.45 Cl.upf
Co 58.93 Co.upf
ATOMIC_POSITIONS angstrom
Cl 0.000 2.034 1.276
Co 0.000 0.000 0.000
Cl 0.000 4.353 4.246
CELL_PARAMETERS angstrom
1.859 3.010 0.000
-1.859 3.010 0.000
0.000 0.367 5.522
! E_form   -958 meV/atom
! Uncorrected energy   -4.150 eV per atom


Record 2
! ErTl | the Materials Project | PBE | relaxed; values from VASP
&SYSTEM
  ibrav = 0, nat = 2, ntyp = 2
/
ATOMIC_SPECIES
Tl 204.38 Tl.upf
Er 167.26 Er.upf
ATOMIC_POSITIONS angstrom
Tl 2.505 -1.760 -1.208
Er 0.000 0.000 0.000
CELL_PARAMETERS angstrom
-0.220 -3.479 -0.537
1.200 0.431 -3.289
4.030 -0.472 1.408
! E_form   -307 meV/atom
! Uncorrected energy   -3.773 eV per atom


Record 3
! ZnH8SO8 | the Materials Project | PBE | relaxed; values from VASP
&SYSTEM
  ibrav = 0, nat = 72, ntyp = 4
/
ATOMIC_SPECIES
O 16.00 O.upf
H 1.01 H.upf
Zn 65.41 Zn.upf
S 32.06 S.upf
ATOMIC_POSITIONS angstrom
O -4.108 -0.822 -5.688
O 1.072 -1.829 -6.066
H -1.485 -3.216 -6.333
O 0.140 -0.302 -8.481
Zn -3.224 -0.568 -10.141
H -1.445 1.235 -9.110
H -0.396 2.188 -13.208
H -0.275 -0.837 -12.703
H -2.988 -0.008 -2.380
S -3.160 2.960 -13.175
O -2.608 -0.449 -12.190
O -4.371 -3.409 -3.565
O -6.390 -0.632 -3.953
H -5.933 -0.952 -4.758
O 2.595 -0.559 -12.621
S -3.733 -0.011 -6.874
H -4.061 -0.358 -14.711
H -2.350 -2.427 -7.464
H -0.807 -1.183 -14.194
H 0.243 1.953 -6.447
O -4.164 -2.327 -10.666
O -4.339 2.796 -14.060
O 0.966 2.475 -10.171
O -1.467 -1.656 -9.744
Zn -5.143 -4.935 -4.719
H 1.788 0.382 -8.515
H -4.491 -3.974 -7.304
H -5.583 -1.573 -8.058
H -4.039 -3.144 -10.127
H 0.936 -2.606 -5.477
O -2.133 -1.418 -15.366
O -3.789 -0.139 -2.950
S -0.063 -1.180 -9.700
O -4.867 0.638 -10.508
O -1.663 0.227 -1.208
O 0.576 2.217 -13.009
H 1.309 1.122 -5.590
O -0.308 -3.987 -4.837
O -3.935 -0.889 -8.093
H -5.104 -2.313 -10.984
H -4.732 1.414 -11.097
O -4.761 -3.666 -6.403
H -0.845 -0.023 -3.806
H -2.311 2.025 -10.241
H -2.498 0.386 -12.709
O -1.584 -2.399 -6.864
H -4.322 -2.813 -6.187
H -2.951 -1.168 -12.767
O -0.007 -1.053 -13.624
H 2.138 -0.239 -11.816
Zn 1.348 3.744 -11.855
O 0.544 -3.987 -2.514
H -1.297 -1.577 -3.865
O 0.836 -2.388 -9.615
O 0.312 -0.369 -10.885
H 1.060 1.898 -13.807
O -4.631 1.197 -6.959
O -1.663 -3.123 -2.998
H 0.527 1.622 -10.387
Zn -0.571 -0.623 -6.433
O -2.132 1.932 -13.575
O -3.487 2.796 -11.737
H 0.266 -0.833 -1.863
H 0.696 2.783 -9.270
O -2.329 0.465 -6.830
O -2.211 1.208 -9.710
H -3.399 -3.379 -3.366
O 0.369 1.136 -5.908
H -3.520 -0.354 -3.871
O -1.187 -0.742 -4.384
H -4.855 -3.089 -2.767
S -0.635 -4.151 -3.399
CELL_PARAMETERS angstrom
0.454 -5.772 -2.023
-7.592 -0.063 -2.054
3.342 4.643 -12.497
! E_form   -1459 meV/atom
! Energy above the lowest structure with this stoichiometry   0.013 eV/atom
! Uncorrected energy   -5.160 eV per atom


Record 4
! Dy2Be2SiO7 | the Materials Project | PBE | relaxed; values from VASP
&SYSTEM
  ibrav = 0, nat = 24, ntyp = 4
/
ATOMIC_SPECIES
O 16.00 O.upf
Dy 162.50 Dy.upf
Be 9.01 Be.upf
Si 28.09 Si.upf
ATOMIC_POSITIONS angstrom
O 1.032 4.704 3.396
O 2.640 1.032 1.396
Dy 6.179 4.837 2.446
Be 4.671 6.345 4.596
Dy 2.507 6.179 2.346
Be 2.673 0.999 4.596
O 0.000 3.672 0.883
O 1.200 0.594 3.835
O 3.672 0.000 3.910
Dy 1.165 2.507 2.446
Be 0.999 4.671 0.196
O 4.704 6.312 1.396
O 6.750 1.200 0.957
O 4.872 3.078 0.957
O 0.594 6.144 0.957
O 6.144 6.750 3.835
Dy 4.837 1.165 2.346
Si 0.000 0.000 0.000
O 2.472 4.266 0.957
Be 6.345 2.673 0.196
Si 3.672 3.672 0.000
O 4.266 4.872 3.835
O 3.078 2.472 3.835
O 6.312 2.640 3.396
CELL_PARAMETERS angstrom
7.344 0.000 0.000
0.000 7.344 0.000
0.000 0.000 4.792
! E_form   -3586 meV/atom
! Uncorrected energy   -7.915 eV per atom


Record 5
! ThB4Ir4 | the Materials Project | PBE | relaxed; values from VASP
&SYSTEM
  ibrav = 0, nat = 18, ntyp = 3
/
ATOMIC_SPECIES
Ir 192.22 Ir.upf
Th 232.04 Th.upf
B 10.81 B.upf
ATOMIC_POSITIONS angstrom
Ir -6.651 1.568 4.216
Th -8.275 2.461 1.442
B -5.131 2.092 1.674
B -5.902 1.190 0.248
B -5.744 1.945 -3.890
Ir -4.648 -0.483 4.811
Ir -4.382 1.714 -2.294
B -7.241 -0.296 3.299
B -7.996 3.457 -1.559
B -5.290 1.337 5.812
B -3.793 3.578 -1.376
Ir -5.404 3.285 -0.044
Th -2.758 0.820 0.481
Ir -3.769 1.845 3.268
B -3.037 -0.175 3.482
Ir -7.265 1.437 -1.346
Ir -6.386 3.765 -2.889
Ir -5.630 -0.004 1.966
CELL_PARAMETERS angstrom
-0.142 3.900 0.706
-6.098 0.639 -4.758
-4.793 -1.257 5.974
! E_form   -577 meV/atom
! Uncorrected energy   -8.298 eV per atom


Record 6
! CuRh2Se4 | the Materials Project | PBE | relaxed; values from VASP
&SYSTEM
  ibrav = 0, nat = 14, ntyp = 3
/
ATOMIC_SPECIES
Se 78.96 Se.upf
Cu 63.55 Cu.upf
Rh 102.91 Rh.upf
ATOMIC_POSITIONS angstrom
Se -4.663 -10.754 -5.408
Se -6.522 -11.572 -8.804
Se -5.493 -7.578 -3.738
Se -7.213 -8.148 -6.945
Cu -3.687 -6.542 -4.977
Rh -0.280 -4.818 -2.972
Se -2.005 -8.206 -5.497
Rh -0.922 -1.635 -1.244
Rh -2.650 -2.396 -4.400
Se -3.724 -8.776 -8.704
Rh -3.522 -4.234 -1.337
Se -2.695 -4.782 -3.638
Se -4.555 -5.600 -7.034
Cu -5.531 -9.813 -7.465
CELL_PARAMETERS angstrom
1.284 -6.365 -3.456
-5.201 -5.198 -0.186
-3.457 -1.520 -6.312
! E_form   -651 meV/atom
! Uncorrected energy   -5.069 eV per atom